# 1
! LaBiS2O | the Materials Project database | PBE-GGA | optimized geometry; values from VASP
! E above lowest polymorph   278 meV/atom
&SYSTEM
  ibrav = 0, nat = 10, ntyp = 4
/
ATOMIC_SPECIES
S 32.06 S.upf
O 16.00 O.upf
La 138.91 La.upf
Bi 208.98 Bi.upf
CELL_PARAMETERS angstrom
4.048 0.000 0.000
0.000 4.048 0.000
0.000 0.000 14.361
ATOMIC_POSITIONS crystal
S 0.500 0.000 0.316
O 0.500 0.500 0.500
S 0.000 0.500 0.093
S 0.500 0.000 0.907
S 0.000 0.500 0.684
La 0.500 0.000 0.134
La 0.000 0.500 0.866
Bi 0.000 0.500 0.415
O 0.000 0.000 0.500
Bi 0.500 0.000 0.585

---

# 2
Entry from the Materials Project database: a relaxed structure of SmRhO3 (PBE-GGA). Values from VASP.

Quantum ESPRESSO input file:
```
&SYSTEM
  ibrav = 0, nat = 20, ntyp = 3
/
ATOMIC_SPECIES
O 16.00 O.upf
Rh 102.91 Rh.upf
Sm 150.36 Sm.upf
CELL_PARAMETERS angstrom
-1.351 5.007 1.335
-5.492 -1.785 1.136
1.991 -1.429 7.377
ATOMIC_POSITIONS crystal
O 0.320 0.307 0.942
O 0.876 0.456 0.750
O 0.624 0.956 0.750
O 0.180 0.807 0.558
Rh 0.000 0.500 0.500
Rh 0.000 0.500 0.000
Sm 0.471 0.582 0.750
O 0.680 0.693 0.442
O 0.680 0.693 0.058
O 0.180 0.807 0.942
O 0.124 0.544 0.250
Sm 0.529 0.418 0.250
Rh 0.500 0.000 0.500
Sm 0.029 0.082 0.750
O 0.820 0.193 0.442
O 0.820 0.193 0.058
Rh 0.500 0.000 0.000
O 0.320 0.307 0.558
Sm 0.971 0.918 0.250
O 0.376 0.044 0.250
```

---

# 3
Entry from the Materials Project database: a relaxed structure of CaO (PBE-GGA). Values from VASP.

Quantum ESPRESSO input file:
```
&SYSTEM
  ibrav = 0, nat = 100, ntyp = 2
/
ATOMIC_SPECIES
O 16.00 O.upf
Ca 40.08 Ca.upf
CELL_PARAMETERS angstrom
11.431 -0.269 0.738
-0.317 12.536 0.576
0.770 0.543 11.646
ATOMIC_POSITIONS crystal
O 0.449 0.387 0.150
Ca 0.243 0.872 0.131
Ca 0.997 0.939 0.528
O 0.872 0.380 0.446
Ca 0.456 0.265 0.770
O 0.840 0.908 0.126
O 0.963 0.757 0.564
Ca 0.763 0.489 0.816
Ca 0.377 0.151 0.158
O 0.989 0.424 0.902
O 0.338 0.711 0.108
Ca 0.649 0.721 0.844
O 0.849 0.658 0.865
Ca 0.030 0.035 0.929
Ca 0.577 0.327 0.004
Ca 0.580 0.594 0.465
Ca 0.838 0.112 0.420
Ca 0.988 0.413 0.573
O 0.853 0.638 0.146
O 0.547 0.858 0.272
Ca 0.298 0.921 0.446
O 0.762 0.371 0.063
Ca 0.503 0.910 0.763
Ca 0.479 0.521 0.798
O 0.314 0.898 0.860
O 0.424 0.935 0.589
Ca 0.273 0.362 0.082
Ca 0.797 0.948 0.775
O 0.875 0.066 0.612
O 0.641 0.326 0.804
Ca 0.992 0.577 0.984
Ca 0.150 0.627 0.199
Ca 0.447 0.565 0.068
Ca 0.686 0.386 0.530
Ca 0.797 0.082 0.085
O 0.650 0.063 0.417
O 0.195 0.804 0.602
Ca 0.782 0.704 0.582
O 0.613 0.160 0.122
Ca 0.740 0.182 0.716
Ca 0.052 0.164 0.653
O 0.880 0.221 0.251
O 0.387 0.091 0.355
Ca 0.710 0.766 0.228
Ca 0.956 0.342 0.091
O 0.191 0.236 0.232
Ca 0.857 0.556 0.333
Ca 0.707 0.285 0.241
O 0.399 0.222 0.967
O 0.490 0.300 0.516
Ca 0.599 0.873 0.488
Ca 0.483 0.403 0.329
Ca 0.410 0.705 0.313
O 0.141 0.638 0.835
O 0.571 0.660 0.165
O 0.910 0.287 0.702
O 0.170 0.106 0.792
O 0.685 0.836 0.665
O 0.775 0.100 0.888
O 0.393 0.530 0.413
O 0.751 0.700 0.400
O 0.459 0.701 0.800
O 0.079 0.762 0.093
O 0.142 0.312 0.509
Ca 0.981 0.865 0.234
O 0.608 0.536 0.934
O 0.415 0.991 0.084
Ca 0.062 0.376 0.329
O 0.539 0.101 0.747
Ca 0.226 0.957 0.704
O 0.324 0.503 0.952
O 0.972 0.896 0.827
Ca 0.551 0.029 0.267
Ca 0.875 0.275 0.890
Ca 0.047 0.123 0.192
O 0.966 0.177 0.020
Ca 0.226 0.176 0.411
Ca 0.121 0.697 0.473
Ca 0.703 0.540 0.105
Ca 0.319 0.396 0.549
O 0.160 0.040 0.539
O 0.475 0.731 0.487
O 0.056 0.556 0.382
O 0.623 0.885 0.915
O 0.972 0.999 0.347
Ca 0.492 0.113 0.531
Ca 0.508 0.831 0.083
Ca 0.188 0.468 0.837
O 0.347 0.418 0.723
Ca 0.574 0.071 0.947
O 0.091 0.461 0.143
O 0.682 0.537 0.632
Ca 0.282 0.718 0.921
Ca 0.294 0.061 0.932
O 0.221 0.799 0.324
Ca 0.360 0.737 0.646
O 0.670 0.454 0.336
O 0.140 0.011 0.079
Ca 0.909 0.789 0.002
Ca 0.024 0.744 0.742
```

---

# 4
Entry from the Materials Project database: a relaxed structure of NbSe2 (PBE-GGA). Values from VASP.

Quantum ESPRESSO input file:
```
&SYSTEM
  ibrav = 0, nat = 12, ntyp = 2
/
ATOMIC_SPECIES
Se 78.96 Se.upf
Nb 92.91 Nb.upf
CELL_PARAMETERS angstrom
2.878 1.318 1.340
-3.042 0.693 1.443
2.785 -23.541 17.175
ATOMIC_POSITIONS crystal
Se 0.667 0.333 0.687
Nb 0.333 0.667 0.746
Nb 0.333 0.667 0.000
Nb 0.667 0.333 0.500
Se 0.000 0.000 0.442
Se 0.000 0.000 0.804
Se 0.000 0.000 0.196
Se 0.667 0.333 0.313
Se 0.333 0.667 0.082
Se 0.333 0.667 0.918
Nb 0.333 0.667 0.254
Se 0.000 0.000 0.558
```

---

# 5
Entry from the Materials Project database: a relaxed structure of MgCo2 (PBE-GGA). Values from VASP.

Quantum ESPRESSO input file:
```
&SYSTEM
  ibrav = 0, nat = 12, ntyp = 2
/
ATOMIC_SPECIES
Co 58.93 Co.upf
Mg 24.30 Mg.upf
CELL_PARAMETERS angstrom
2.325 1.751 -3.860
-3.886 -2.814 -0.590
-4.617 6.355 0.102
ATOMIC_POSITIONS crystal
Co 0.342 0.171 0.250
Co 0.000 0.000 0.000
Co 0.171 0.342 0.750
Co 0.658 0.829 0.750
Mg 0.333 0.667 0.437
Mg 0.667 0.333 0.563
Co 0.000 0.000 0.500
Co 0.171 0.829 0.750
Mg 0.333 0.667 0.063
Co 0.829 0.658 0.250
Co 0.829 0.171 0.250
Mg 0.667 0.333 0.937
```

---

# 6
Entry from the Materials Project database: a relaxed structure of YAsPt (PBE-GGA). Values from VASP.

Quantum ESPRESSO input file:
```
&SYSTEM
  ibrav = 0, nat = 12, ntyp = 3
/
ATOMIC_SPECIES
As 74.92 As.upf
Y 88.91 Y.upf
Pt 195.08 Pt.upf
CELL_PARAMETERS angstrom
1.627 1.210 -3.800
-2.529 -3.477 0.251
-12.343 8.801 -2.483
ATOMIC_POSITIONS crystal
As 0.333 0.667 0.617
Y 0.000 0.000 0.250
Pt 0.333 0.667 0.135
Y 0.000 0.000 0.750
Pt 0.667 0.333 0.865
As 0.667 0.333 0.383
As 0.333 0.667 0.883
Y 0.000 0.000 0.000
Pt 0.667 0.333 0.635
Pt 0.333 0.667 0.365
As 0.667 0.333 0.117
Y 0.000 0.000 0.500
```

---

Number 1: total energy -5.888 eV/atom. Number 2: total energy -7.502 eV/atom. Number 3: total energy -6.128 eV/atom. Number 4: total energy -6.168 eV/atom. Number 5: total energy -5.305 eV/atom. Number 6: total energy -6.939 eV/atom.